# 1
PBE Sm23Cd4Rh7, relaxed; density = 8.11 g/cm³; symmetry = P6_3mc (186)
1.0
-4.9481 -8.5704 0.0000
-4.9481 8.5704 0.0000
0.0000 0.0000 -22.3528
Sm Cd Rh
46 8 14
direct
0.2078 0.4156 0.7211
0.2078 0.7922 0.7211
0.7922 0.5844 0.2211
0.5844 0.7922 0.7211
0.7922 0.2078 0.2211
0.4156 0.2078 0.2211
0.7923 0.5847 0.9467
0.7923 0.2077 0.9467
0.2077 0.4153 0.4467
0.4153 0.2077 0.9467
0.2077 0.7923 0.4467
0.5847 0.7923 0.4467
0.2099 0.4198 0.9897
0.2099 0.7901 0.9897
0.7901 0.5802 0.4897
0.5802 0.7901 0.9897
0.7901 0.2099 0.4897
0.4198 0.2099 0.4897
0.8729 0.7458 0.6359
0.8729 0.1271 0.6359
0.1271 0.2542 0.1359
0.2542 0.1271 0.6359
0.1271 0.8729 0.1359
0.7458 0.8729 0.1359
0.4586 0.9171 0.8567
0.4586 0.5414 0.8567
0.5414 0.0829 0.3567
0.0829 0.5414 0.8567
0.5414 0.4586 0.3567
0.9171 0.4586 0.3567
0.0000 0.0000 0.9959
0.0000 0.0000 0.4959
0.4599 0.9197 0.5848
0.4599 0.5401 0.5848
0.5401 0.0803 0.0848
0.0803 0.5401 0.5848
0.5401 0.4599 0.0848
0.9197 0.4599 0.0848
0.7990 0.5980 0.7829
0.7990 0.2010 0.7829
0.2010 0.4020 0.2829
0.4020 0.2010 0.7829
0.2010 0.7990 0.2829
0.5980 0.7990 0.2829
0.6667 0.3333 0.6444
0.3333 0.6667 0.1444
0.0000 0.0000 0.7500
0.0000 0.0000 0.2500
0.1076 0.2153 0.8637
0.1076 0.8924 0.8637
0.8924 0.7847 0.3637
0.7847 0.8924 0.8637
0.8924 0.1076 0.3637
0.2153 0.1076 0.3637
0.5216 0.0432 0.7101
0.5216 0.4784 0.7101
0.4784 0.9568 0.2101
0.9568 0.4784 0.7101
0.4784 0.5216 0.2101
0.0432 0.5216 0.2101
0.6667 0.3333 0.8627
0.3333 0.6667 0.3627
0.1429 0.2857 0.5630
0.1429 0.8571 0.5630
0.8571 0.7143 0.0630
0.7143 0.8571 0.5630
0.8571 0.1429 0.0630
0.2857 0.1429 0.0630


# 2
PBE CaB2S4, relaxed; density = 2.66 g/cm³; symmetry = Pa-3 (205)
1.0
-1.7007 7.3363 8.3568
-9.1805 3.8442 -5.2431
-6.2750 -7.6125 5.4059
Ca B S
12 24 48
direct
0.3736 0.1264 0.8736
0.1264 0.8736 0.3736
0.8736 0.3736 0.1264
0.6264 0.6264 0.6264
0.6264 0.8736 0.1264
0.8736 0.1264 0.6264
0.1264 0.6264 0.8736
0.3736 0.3736 0.3736
0.0000 0.5000 0.5000
0.5000 0.5000 0.0000
0.5000 0.0000 0.5000
0.0000 0.0000 0.0000
0.6294 0.1934 0.1460
0.1294 0.3066 0.8540
0.3706 0.6934 0.3540
0.3066 0.8540 0.1294
0.3540 0.3706 0.6934
0.8540 0.1294 0.3066
0.1934 0.1460 0.6294
0.1460 0.6294 0.1934
0.6934 0.3540 0.3706
0.8066 0.6460 0.8706
0.6460 0.8706 0.8066
0.8706 0.8066 0.6460
0.3706 0.8066 0.8540
0.8706 0.6934 0.1460
0.6294 0.3066 0.6460
0.6934 0.1460 0.8706
0.6460 0.6294 0.3066
0.1460 0.8706 0.6934
0.8066 0.8540 0.3706
0.8540 0.3706 0.8066
0.3066 0.6460 0.6294
0.1934 0.3540 0.1294
0.3540 0.1294 0.1934
0.1294 0.1934 0.3540
0.5849 0.2773 0.4796
0.0849 0.2227 0.5204
0.4151 0.7773 0.0204
0.2227 0.5204 0.0849
0.0204 0.4151 0.7773
0.5204 0.0849 0.2227
0.2773 0.4796 0.5849
0.4796 0.5849 0.2773
0.7773 0.0204 0.4151
0.7227 0.9796 0.9151
0.9796 0.9151 0.7227
0.9151 0.7227 0.9796
0.4151 0.7227 0.5204
0.9151 0.7773 0.4796
0.5849 0.2227 0.9796
0.7773 0.4796 0.9151
0.9796 0.5849 0.2227
0.4796 0.9151 0.7773
0.7227 0.5204 0.4151
0.5204 0.4151 0.7227
0.2227 0.9796 0.5849
0.2773 0.0204 0.0849
0.0204 0.0849 0.2773
0.0849 0.2773 0.0204
0.8509 0.2881 0.3717
0.3509 0.2119 0.6283
0.1491 0.7881 0.1283
0.2119 0.6283 0.3509
0.1283 0.1491 0.7881
0.6283 0.3509 0.2119
0.2881 0.3717 0.8509
0.3717 0.8509 0.2881
0.7881 0.1283 0.1491
0.7119 0.8717 0.6491
0.8717 0.6491 0.7119
0.6491 0.7119 0.8717
0.1491 0.7119 0.6283
0.6491 0.7881 0.3717
0.8509 0.2119 0.8717
0.7881 0.3717 0.6491
0.8717 0.8509 0.2119
0.3717 0.6491 0.7881
0.7119 0.6283 0.1491
0.6283 0.1491 0.7119
0.2119 0.8717 0.8509
0.2881 0.1283 0.3509
0.1283 0.3509 0.2881
0.3509 0.2881 0.1283


# 3
PBE PdSe, relaxed; density = 7.47 g/cm³; symmetry = P4_2/m (84)
1.0
6.8450 0.0000 0.0000
0.0000 6.8450 0.0000
0.0000 0.0000 7.0322
Pd Se
8 8
direct
0.5299 0.7390 0.0000
0.2610 0.5299 0.5000
0.7390 0.4701 0.5000
0.4701 0.2610 0.0000
0.5000 0.0000 0.5000
0.0000 0.5000 0.0000
0.0000 0.0000 0.7500
0.0000 0.0000 0.2500
0.1943 0.3074 0.7719
0.6926 0.1943 0.2719
0.3074 0.8057 0.2719
0.8057 0.6926 0.7719
0.8057 0.6926 0.2281
0.3074 0.8057 0.7281
0.6926 0.1943 0.7281
0.1943 0.3074 0.2281


# 4
PBE CaMg6B, relaxed; density = 1.81 g/cm³; symmetry = Amm2 (38)
1.0
-5.5147 1.2392 -4.6261
0.2470 -1.0635 7.2220
0.4724 4.5349 0.6517
Ca Mg B
1 6 1
direct
0.8048 0.1952 0.5000
0.3048 0.1907 0.5000
0.8093 0.6952 0.5000
0.1816 0.3518 0.0000
0.6482 0.8184 0.0000
0.6434 0.3566 0.0000
0.1986 0.8014 0.0000
0.4094 0.5906 0.5000


no.,uncorrected energy (eV per atom),energy relative to the elements (eV/atom)
1,-5.2894,-0.473
2,-5.4395,-1.168
3,-4.6627,-0.561
4,-2.0123,0.274